First-principles (PBE) data for crystalline Ti4CoNi at its relaxed geometry, as listed in the Materials Project.

Cell: 7.945 7.945 7.945 Å, 60.00 60.00 60.00°
Sites, in units of the cell vectors:
Ti (0.186, 0.186, 0.814)
Ti (0.186, 0.814, 0.186)
Ti (0.186, 0.814, 0.814)
Ti (0.370, 0.370, 0.370)
Ti (0.370, 0.370, 0.890)
Ti (0.370, 0.890, 0.370)
Ti (0.562, 0.562, 0.938)
Ti (0.562, 0.938, 0.562)
Ti (0.562, 0.938, 0.938)
Ti (0.814, 0.186, 0.186)
Ti (0.814, 0.186, 0.814)
Ti (0.814, 0.814, 0.186)
Ti (0.890, 0.370, 0.370)
Ti (0.938, 0.562, 0.562)
Ti (0.938, 0.562, 0.938)
Ti (0.938, 0.938, 0.562)
Co (0.154, 0.154, 0.154)
Co (0.154, 0.154, 0.538)
Co (0.154, 0.538, 0.154)
Co (0.538, 0.154, 0.154)
Ni (0.234, 0.589, 0.589)
Ni (0.589, 0.234, 0.589)
Ni (0.589, 0.589, 0.234)
Ni (0.589, 0.589, 0.589)

Values from the calculation:
Raw total energy, eV/cell: -184.88
E_form, meV per atom: -292